# 1
! NaTlN2F6 (PBE, optimized geometry); values from VASP
&SYSTEM
  ibrav = 0, nat = 10, ntyp = 4
/
ATOMIC_SPECIES
Na 22.99 Na.upf
Tl 204.38 Tl.upf
N 14.01 N.upf
F 19.00 F.upf
CELL_PARAMETERS angstrom
0.000 4.427 4.427
4.427 0.000 4.427
4.427 4.427 0.000
ATOMIC_POSITIONS crystal
Na 0.000 0.000 0.000
Tl 0.500 0.500 0.500
N 0.250 0.250 0.250
N 0.750 0.750 0.750
F 0.258 0.258 0.742
F 0.258 0.742 0.258
F 0.258 0.742 0.742
F 0.742 0.258 0.258
F 0.742 0.258 0.742
F 0.742 0.742 0.258
! E (MP2020) in eV/f.u.: -35.71
! Uncorrected energy in eV per atom: -3.293
! ΔH_f (0 K) in meV/atom: -386



# 2
! Ag13Bi14I56 (PBE, optimized geometry); values from VASP
&SYSTEM
  ibrav = 0, nat = 83, ntyp = 3
/
ATOMIC_SPECIES
Ag 107.87 Ag.upf
Bi 208.98 Bi.upf
I 126.90 I.upf
CELL_PARAMETERS angstrom
8.798 0.000 0.000
-4.366 7.901 0.000
-0.004 -3.878 51.611
ATOMIC_POSITIONS crystal
Ag 0.000 0.000 0.000
Ag 0.072 0.143 0.715
Ag 0.143 0.285 0.429
Ag 0.212 0.427 0.142
Ag 0.284 0.571 0.858
Ag 0.357 0.715 0.571
Ag 0.429 0.857 0.285
Ag 0.571 0.143 0.715
Ag 0.643 0.285 0.429
Ag 0.716 0.429 0.142
Ag 0.788 0.573 0.858
Ag 0.857 0.715 0.571
Ag 0.928 0.857 0.285
Bi 0.000 0.500 0.000
Bi 0.000 0.500 0.500
Bi 0.143 0.786 0.429
Bi 0.147 0.790 0.930
Bi 0.284 0.069 0.858
Bi 0.286 0.072 0.357
Bi 0.428 0.356 0.786
Bi 0.429 0.358 0.286
Bi 0.571 0.642 0.714
Bi 0.572 0.644 0.214
Bi 0.714 0.928 0.643
Bi 0.716 0.931 0.142
Bi 0.853 0.210 0.070
Bi 0.857 0.214 0.571
I 0.021 0.544 0.109
I 0.032 0.062 0.107
I 0.033 0.566 0.603
I 0.040 0.081 0.608
I 0.103 0.204 0.820
I 0.112 0.224 0.322
I 0.112 0.721 0.825
I 0.121 0.743 0.320
I 0.157 0.850 0.031
I 0.165 0.829 0.537
I 0.173 0.347 0.535
I 0.187 0.376 0.038
I 0.245 0.490 0.249
I 0.253 0.006 0.254
I 0.255 0.510 0.751
I 0.264 0.027 0.749
I 0.296 0.116 0.964
I 0.318 0.137 0.460
I 0.319 0.641 0.964
I 0.326 0.652 0.465
I 0.388 0.777 0.677
I 0.396 0.292 0.683
I 0.397 0.795 0.180
I 0.409 0.317 0.177
I 0.451 0.401 0.394
I 0.459 0.918 0.392
I 0.460 0.423 0.888
I 0.470 0.941 0.894
I 0.530 0.059 0.106
I 0.540 0.577 0.112
I 0.541 0.082 0.608
I 0.549 0.599 0.606
I 0.591 0.683 0.823
I 0.603 0.205 0.820
I 0.604 0.708 0.317
I 0.612 0.223 0.323
I 0.674 0.348 0.535
I 0.681 0.359 0.036
I 0.682 0.863 0.540
I 0.704 0.884 0.036
I 0.736 0.973 0.251
I 0.745 0.490 0.249
I 0.747 0.994 0.746
I 0.755 0.510 0.751
I 0.813 0.624 0.962
I 0.827 0.653 0.465
I 0.835 0.171 0.463
I 0.843 0.150 0.969
I 0.879 0.257 0.680
I 0.888 0.279 0.175
I 0.888 0.776 0.678
I 0.897 0.796 0.180
I 0.960 0.919 0.392
I 0.967 0.434 0.397
I 0.968 0.938 0.893
I 0.979 0.456 0.891
! E (MP2020) in eV/f.u.: -228.79
! Uncorrected energy in eV per atom: -2.501
! ΔH_f (0 K) in meV/atom: -628



# 3
! Er2MgSe4 (PBE, optimized geometry); values from VASP
&SYSTEM
  ibrav = 0, nat = 14, ntyp = 3
/
ATOMIC_SPECIES
Er 167.26 Er.upf
Mg 24.30 Mg.upf
Se 78.96 Se.upf
CELL_PARAMETERS angstrom
0.000 5.814 5.814
5.814 0.000 5.814
5.814 5.814 0.000
ATOMIC_POSITIONS crystal
Er 0.000 0.000 0.000
Er 0.000 0.000 0.500
Er 0.000 0.500 0.000
Er 0.500 0.000 0.000
Mg 0.375 0.375 0.375
Mg 0.625 0.625 0.625
Se 0.235 0.755 0.755
Se 0.245 0.245 0.245
Se 0.245 0.245 0.765
Se 0.245 0.765 0.245
Se 0.755 0.235 0.755
Se 0.755 0.755 0.235
Se 0.755 0.755 0.755
Se 0.765 0.245 0.245
! E (MP2020) in eV/f.u.: -38.44
! Uncorrected energy in eV per atom: -5.222
! ΔH_f (0 K) in meV/atom: -1961
! Excess energy over the best structure of this formula in the dataset in eV per formula unit: 0.00



# 4
! ZnAg2P2S6 (PBE, optimized geometry); values from VASP
&SYSTEM
  ibrav = 0, nat = 44, ntyp = 4
/
ATOMIC_SPECIES
Zn 65.41 Zn.upf
Ag 107.87 Ag.upf
P 30.97 P.upf
S 32.06 S.upf
CELL_PARAMETERS angstrom
3.172 -5.476 0.000
3.172 5.476 0.000
-2.952 0.000 27.255
ATOMIC_POSITIONS crystal
Zn 0.046 0.182 0.126
Zn 0.182 0.046 0.626
Zn 0.818 0.954 0.374
Zn 0.954 0.818 0.874
Ag 0.252 0.468 0.813
Ag 0.303 0.482 0.940
Ag 0.468 0.252 0.313
Ag 0.482 0.303 0.440
Ag 0.518 0.697 0.560
Ag 0.532 0.748 0.687
Ag 0.697 0.518 0.060
Ag 0.748 0.532 0.187
P 0.134 0.591 0.333
P 0.145 0.625 0.417
P 0.375 0.855 0.083
P 0.409 0.866 0.167
P 0.591 0.134 0.833
P 0.625 0.145 0.917
P 0.855 0.375 0.583
P 0.866 0.409 0.667
S 0.072 0.246 0.313
S 0.085 0.909 0.437
S 0.091 0.915 0.063
S 0.130 0.703 0.564
S 0.142 0.533 0.186
S 0.144 0.357 0.692
S 0.246 0.072 0.813
S 0.297 0.870 0.936
S 0.301 0.515 0.057
S 0.357 0.144 0.192
S 0.467 0.858 0.314
S 0.485 0.699 0.443
S 0.515 0.301 0.557
S 0.533 0.142 0.686
S 0.643 0.856 0.808
S 0.699 0.485 0.943
S 0.703 0.130 0.064
S 0.754 0.928 0.187
S 0.856 0.643 0.308
S 0.858 0.467 0.814
S 0.870 0.297 0.436
S 0.909 0.085 0.937
S 0.915 0.091 0.563
S 0.928 0.754 0.687
! E (MP2020) in eV/f.u.: -48.73
! Uncorrected energy in eV per atom: -4.155
! ΔH_f (0 K) in meV/atom: -560



# 5
! MgBr2O6 (PBE, optimized geometry); values from VASP
&SYSTEM
  ibrav = 0, nat = 9, ntyp = 3
/
ATOMIC_SPECIES
Mg 24.30 Mg.upf
Br 79.90 Br.upf
O 16.00 O.upf
CELL_PARAMETERS angstrom
4.935 -2.857 0.000
4.935 2.857 0.000
-2.955 0.000 5.529
ATOMIC_POSITIONS crystal
Mg 0.000 0.000 0.000
Br 0.357 0.357 0.097
Br 0.643 0.643 0.903
O 0.238 0.706 0.218
O 0.243 0.243 0.231
O 0.294 0.762 0.782
O 0.706 0.238 0.218
O 0.757 0.757 0.769
O 0.762 0.294 0.782
! E (MP2020) in eV/f.u.: -42.66
! Uncorrected energy in eV per atom: -4.282
! ΔH_f (0 K) in meV/atom: -899
! Excess energy over the best structure of this formula in the dataset in eV per formula unit: 0.36



# 6
! Hf5CuSn3 (PBE, optimized geometry); values from VASP
&SYSTEM
  ibrav = 0, nat = 18, ntyp = 3
/
ATOMIC_SPECIES
Hf 178.49 Hf.upf
Cu 63.55 Cu.upf
Sn 118.71 Sn.upf
CELL_PARAMETERS angstrom
8.588 0.000 0.000
-4.294 7.437 0.000
0.000 0.000 5.830
ATOMIC_POSITIONS crystal
Hf 0.000 0.263 0.250
Hf 0.000 0.737 0.750
Hf 0.263 0.000 0.250
Hf 0.263 0.263 0.750
Hf 0.333 0.667 0.000
Hf 0.333 0.667 0.500
Hf 0.667 0.333 0.000
Hf 0.667 0.333 0.500
Hf 0.737 0.000 0.750
Hf 0.737 0.737 0.250
Cu 0.000 0.000 0.000
Cu 0.000 0.000 0.500
Sn 0.000 0.387 0.750
Sn 0.000 0.613 0.250
Sn 0.387 0.000 0.750
Sn 0.387 0.387 0.250
Sn 0.613 0.000 0.250
Sn 0.613 0.613 0.750
! Uncorrected energy in eV per atom: -7.703
! ΔH_f (0 K) in meV/atom: -379



# 7
! Cr2FeSeS3 (PBE, optimized geometry); values from VASP
&SYSTEM
  ibrav = 0, nat = 7, ntyp = 4
/
ATOMIC_SPECIES
Cr 52.00 Cr.upf
Fe 55.84 Fe.upf
Se 78.96 Se.upf
S 32.06 S.upf
CELL_PARAMETERS angstrom
6.188 -1.689 0.000
6.188 1.689 0.000
-2.662 0.000 5.225
ATOMIC_POSITIONS crystal
Cr 0.000 0.000 0.000
Cr 0.524 0.524 0.634
Fe 0.276 0.276 0.320
Se 0.630 0.630 0.342
S 0.152 0.152 0.881
S 0.373 0.373 0.755
S 0.907 0.907 0.301
! E (MP2020) in eV/f.u.: -48.69
! Uncorrected energy in eV per atom: -6.740
! ΔH_f (0 K) in meV/atom: -716
! Excess energy over the best structure of this formula in the dataset in eV per formula unit: 0.22



# 8
! Mn2P12W (PBE, optimized geometry); values from VASP
&SYSTEM
  ibrav = 0, nat = 30, ntyp = 3
/
ATOMIC_SPECIES
Mn 54.94 Mn.upf
P 30.97 P.upf
W 183.84 W.upf
CELL_PARAMETERS angstrom
8.009 -2.870 0.000
8.009 2.870 0.000
-4.621 0.000 9.526
ATOMIC_POSITIONS crystal
Mn 0.011 0.628 0.954
Mn 0.372 0.989 0.546
Mn 0.628 0.011 0.454
Mn 0.989 0.372 0.046
P 0.002 0.353 0.836
P 0.010 0.924 0.074
P 0.024 0.672 0.760
P 0.052 0.403 0.576
P 0.076 0.990 0.426
P 0.298 0.580 0.334
P 0.328 0.976 0.740
P 0.332 0.436 0.497
P 0.353 0.002 0.336
P 0.403 0.052 0.076
P 0.420 0.702 0.166
P 0.436 0.332 0.997
P 0.564 0.668 0.003
P 0.580 0.298 0.834
P 0.597 0.948 0.924
P 0.647 0.998 0.664
P 0.668 0.564 0.503
P 0.672 0.024 0.260
P 0.702 0.420 0.666
P 0.924 0.010 0.574
P 0.948 0.597 0.424
P 0.976 0.328 0.240
P 0.990 0.076 0.926
P 0.998 0.647 0.164
W 0.305 0.695 0.750
W 0.695 0.305 0.250
! Uncorrected energy in eV per atom: -6.744
! ΔH_f (0 K) in meV/atom: -328



# 9
! MgAl2SiO7 (PBE, optimized geometry); values from VASP
&SYSTEM
  ibrav = 0, nat = 22, ntyp = 4
/
ATOMIC_SPECIES
Mg 24.30 Mg.upf
Al 26.98 Al.upf
Si 28.09 Si.upf
O 16.00 O.upf
CELL_PARAMETERS angstrom
5.532 0.000 0.000
2.758 4.850 0.000
2.069 0.104 8.709
ATOMIC_POSITIONS crystal
Mg 0.162 0.175 0.498
Mg 0.838 0.825 0.502
Al 0.000 0.000 0.000
Al 0.500 0.000 0.000
Al 0.500 0.500 0.000
Al 0.500 0.500 0.500
Si 0.068 0.500 0.812
Si 0.932 0.500 0.188
O 0.133 0.501 0.621
O 0.207 0.177 0.875
O 0.210 0.663 0.872
O 0.241 0.809 0.403
O 0.279 0.336 0.126
O 0.299 0.831 0.097
O 0.448 0.811 0.590
O 0.552 0.189 0.410
O 0.701 0.169 0.903
O 0.721 0.664 0.874
O 0.759 0.191 0.597
O 0.790 0.337 0.128
O 0.793 0.823 0.125
O 0.867 0.499 0.379
! E (MP2020) in eV/f.u.: -80.30
! Uncorrected energy in eV per atom: -6.863
! ΔH_f (0 K) in meV/atom: -2831



# 10
! Lu2ZnHg (PBE, optimized geometry); values from VASP
&SYSTEM
  ibrav = 0, nat = 4, ntyp = 3
/
ATOMIC_SPECIES
Lu 174.97 Lu.upf
Zn 65.41 Zn.upf
Hg 200.59 Hg.upf
CELL_PARAMETERS angstrom
0.000 3.584 3.584
3.584 0.000 3.584
3.584 3.584 0.000
ATOMIC_POSITIONS crystal
Lu 0.250 0.250 0.250
Lu 0.750 0.750 0.750
Zn 0.000 0.000 0.000
Hg 0.500 0.500 0.500
! Uncorrected energy in eV per atom: -3.052
! ΔH_f (0 K) in meV/atom: -401



# 11
! HoNi4B (PBE, optimized geometry); values from VASP
&SYSTEM
  ibrav = 0, nat = 12, ntyp = 3
/
ATOMIC_SPECIES
Ho 164.93 Ho.upf
Ni 58.69 Ni.upf
B 10.81 B.upf
CELL_PARAMETERS angstrom
4.952 0.000 0.000
-2.476 4.288 0.000
0.000 0.000 6.949
ATOMIC_POSITIONS crystal
Ho 0.000 0.000 0.000
Ho 0.000 0.000 0.500
Ni 0.000 0.500 0.208
Ni 0.000 0.500 0.792
Ni 0.333 0.667 0.500
Ni 0.500 0.000 0.208
Ni 0.500 0.000 0.792
Ni 0.500 0.500 0.208
Ni 0.500 0.500 0.792
Ni 0.667 0.333 0.500
B 0.333 0.667 0.000
B 0.667 0.333 0.000
! Uncorrected energy in eV per atom: -6.232
! ΔH_f (0 K) in meV/atom: -502



# 12
! SmH3O3 (PBE, optimized geometry); values from VASP
&SYSTEM
  ibrav = 0, nat = 14, ntyp = 3
/
ATOMIC_SPECIES
Sm 150.36 Sm.upf
H 1.01 H.upf
O 16.00 O.upf
CELL_PARAMETERS angstrom
6.387 0.000 0.000
-3.193 5.531 0.000
0.000 0.000 3.691
ATOMIC_POSITIONS crystal
Sm 0.333 0.667 0.250
Sm 0.667 0.333 0.750
H 0.136 0.861 0.750
H 0.139 0.275 0.750
H 0.275 0.136 0.250
H 0.725 0.864 0.750
H 0.861 0.725 0.250
H 0.864 0.139 0.250
O 0.083 0.392 0.750
O 0.309 0.917 0.750
O 0.392 0.309 0.250
O 0.608 0.691 0.750
O 0.691 0.083 0.250
O 0.917 0.608 0.250
! E (MP2020) in eV/f.u.: -45.31
! Uncorrected energy in eV per atom: -6.179
! ΔH_f (0 K) in meV/atom: -2225



Please write out number 12 again, unchanged.
! SmH3O3 (PBE, optimized geometry); values from VASP
&SYSTEM
  ibrav = 0, nat = 14, ntyp = 3
/
ATOMIC_SPECIES
Sm 150.36 Sm.upf
H 1.01 H.upf
O 16.00 O.upf
CELL_PARAMETERS angstrom
6.387 0.000 0.000
-3.193 5.531 0.000
0.000 0.000 3.691
ATOMIC_POSITIONS crystal
Sm 0.333 0.667 0.250
Sm 0.667 0.333 0.750
H 0.136 0.861 0.750
H 0.139 0.275 0.750
H 0.275 0.136 0.250
H 0.725 0.864 0.750
H 0.861 0.725 0.250
H 0.864 0.139 0.250
O 0.083 0.392 0.750
O 0.309 0.917 0.750
O 0.392 0.309 0.250
O 0.608 0.691 0.750
O 0.691 0.083 0.250
O 0.917 0.608 0.250
! E (MP2020) in eV/f.u.: -45.31
! Uncorrected energy in eV per atom: -6.179
! ΔH_f (0 K) in meV/atom: -2225



Repeat the sixth record exactly.
! Hf5CuSn3 (PBE, optimized geometry); values from VASP
&SYSTEM
  ibrav = 0, nat = 18, ntyp = 3
/
ATOMIC_SPECIES
Hf 178.49 Hf.upf
Cu 63.55 Cu.upf
Sn 118.71 Sn.upf
CELL_PARAMETERS angstrom
8.588 0.000 0.000
-4.294 7.437 0.000
0.000 0.000 5.830
ATOMIC_POSITIONS crystal
Hf 0.000 0.263 0.250
Hf 0.000 0.737 0.750
Hf 0.263 0.000 0.250
Hf 0.263 0.263 0.750
Hf 0.333 0.667 0.000
Hf 0.333 0.667 0.500
Hf 0.667 0.333 0.000
Hf 0.667 0.333 0.500
Hf 0.737 0.000 0.750
Hf 0.737 0.737 0.250
Cu 0.000 0.000 0.000
Cu 0.000 0.000 0.500
Sn 0.000 0.387 0.750
Sn 0.000 0.613 0.250
Sn 0.387 0.000 0.750
Sn 0.387 0.387 0.250
Sn 0.613 0.000 0.250
Sn 0.613 0.613 0.750
! Uncorrected energy in eV per atom: -7.703
! ΔH_f (0 K) in meV/atom: -379